*w*
## K2CuF4 (PBE)

Data for crystalline K2CuF4 at its relaxed geometry.

Output
Magnetization: 1.00 μB per formula unit

Unit cell a=4.444 b=12.380 c=3.912 alpha=90.00 beta=90.00 gamma=90.00
Fractional positions:
K1 0.000 0.148 0.000
K2 0.000 0.852 0.000
K3 0.500 0.352 0.000
K4 0.500 0.648 0.000
Cu1 0.000 0.500 0.500
Cu2 0.500 0.000 0.500
F1 0.000 0.000 0.500
F2 0.000 0.341 0.500
F3 0.000 0.500 0.000
F4 0.000 0.659 0.500
F5 0.500 0.000 0.000
F6 0.500 0.159 0.500
F7 0.500 0.500 0.500
F8 0.500 0.841 0.500

*x*
## K2CuF4 (PBE)

Data for crystalline K2CuF4 at its relaxed geometry.

Output
Magnetization: 1.00 μB per formula unit

Unit cell a=13.595 b=13.595 c=13.595 alpha=154.93 beta=154.93 gamma=35.74
Fractional positions:
K1 0.072 0.072 0.000
K2 0.179 0.679 0.500
K3 0.321 0.821 0.500
K4 0.428 0.428 0.000
K5 0.572 0.572 0.000
K6 0.679 0.179 0.500
K7 0.821 0.321 0.500
K8 0.928 0.928 0.000
Cu1 0.000 0.500 0.500
Cu2 0.250 0.250 0.000
Cu3 0.500 0.000 0.500
Cu4 0.750 0.750 0.000
F1 0.000 0.000 0.500
F2 0.000 0.500 0.000
F3 0.077 0.577 0.500
F4 0.174 0.174 0.000
F5 0.233 0.733 0.965
F6 0.267 0.233 0.500
F7 0.326 0.326 0.000
F8 0.423 0.923 0.500
F9 0.500 0.000 0.000
F10 0.500 0.500 0.500
F11 0.577 0.077 0.500
F12 0.674 0.674 0.000
F13 0.733 0.767 0.500
F14 0.767 0.267 0.035
F15 0.826 0.826 0.000
F16 0.923 0.423 0.500

Most stable to least stable, the ends of the list are *x* and *w*.

*w*
## K2CuF4 (PBE)

Data for crystalline K2CuF4 at its relaxed geometry.

Unit cell a=13.561 b=13.561 c=13.561 alpha=154.72 beta=154.72 gamma=36.06
Fractional positions:
K1 0.054 0.804 0.250
K2 0.196 0.946 0.250
K3 0.304 0.554 0.750
K4 0.446 0.696 0.750
K5 0.554 0.304 0.250
K6 0.696 0.446 0.250
K7 0.804 0.054 0.750
K8 0.946 0.196 0.750
Cu1 0.125 0.375 0.750
Cu2 0.375 0.125 0.250
Cu3 0.625 0.875 0.750
Cu4 0.875 0.625 0.250
F1 0.048 0.298 0.750
F2 0.107 0.857 0.714
F3 0.143 0.357 0.250
F4 0.202 0.452 0.750
F5 0.298 0.048 0.250
F6 0.357 0.607 0.214
F7 0.393 0.107 0.750
F8 0.452 0.202 0.250
F9 0.548 0.798 0.750
F10 0.607 0.893 0.250
F11 0.643 0.393 0.786
F12 0.702 0.952 0.750
F13 0.798 0.548 0.250
F14 0.857 0.643 0.750
F15 0.893 0.143 0.286
F16 0.952 0.702 0.250

*x*
## K2CuF4 (PBE)

Data for crystalline K2CuF4 at its relaxed geometry.

Unit cell a=4.137 b=4.137 c=13.015 alpha=90.00 beta=90.00 gamma=90.00
Fractional positions:
K1 0.000 0.000 0.143
K2 0.000 0.000 0.857
K3 0.500 0.500 0.357
K4 0.500 0.500 0.643
Cu1 0.000 0.000 0.500
Cu2 0.500 0.500 0.000
F1 0.000 0.000 0.347
F2 0.000 0.000 0.653
F3 0.000 0.500 0.000
F4 0.000 0.500 0.500
F5 0.500 0.000 0.000
F6 0.500 0.000 0.500
F7 0.500 0.500 0.153
F8 0.500 0.500 0.847

Most stable to least stable, the ends of the list are *w* and *x*.